DFT (PBE with a Hubbard U) results for a relaxed structure of Li2FeSi3O8.

Unit cell a=6.725 b=10.071 c=12.337 alpha=108.00 beta=97.76 gamma=103.09
Space group P1 (No. 1)
One atom of each set of equivalent atoms:
Li 0.000 0.000 0.000 [1 per cell]
Li 0.067 0.358 0.807 [1 per cell]
Li 0.286 0.846 0.755 [1 per cell]
Li 0.395 0.270 0.037 [1 per cell]
Li 0.500 0.500 0.500 [1 per cell]
Li 0.567 0.858 0.307 [1 per cell]
Li 0.786 0.346 0.255 [1 per cell]
Li 0.895 0.770 0.537 [1 per cell]
Fe 0.052 0.502 0.547 [1 per cell]
Fe 0.449 0.528 0.255 [1 per cell]
Fe 0.552 0.003 0.047 [1 per cell]
Fe 0.949 0.028 0.756 [1 per cell]
Si 0.090 0.509 0.059 [1 per cell]
Si 0.237 0.662 0.896 [1 per cell]
Si 0.264 0.726 0.461 [1 per cell]
Si 0.365 0.175 0.229 [1 per cell]
Si 0.421 0.206 0.757 [1 per cell]
Si 0.457 0.494 0.736 [1 per cell]
Si 0.590 0.009 0.559 [1 per cell]
Si 0.737 0.162 0.396 [1 per cell]
Si 0.765 0.226 0.961 [1 per cell]
Si 0.865 0.675 0.729 [1 per cell]
Si 0.920 0.705 0.257 [1 per cell]
Si 0.957 0.993 0.236 [1 per cell]
O 0.024 0.599 0.788 [1 per cell]
O 0.024 0.707 0.387 [1 per cell]
O 0.045 0.853 0.237 [1 per cell]
O 0.150 0.143 0.277 [1 per cell]
O 0.169 0.647 0.015 [1 per cell]
O 0.176 0.195 0.752 [1 per cell]
O 0.223 0.736 0.589 [1 per cell]
O 0.274 0.441 0.093 [1 per cell]
O 0.307 0.092 0.086 [1 per cell]
O 0.314 0.462 0.610 [1 per cell]
O 0.336 0.523 0.847 [1 per cell]
O 0.364 0.596 0.407 [1 per cell]
O 0.376 0.822 0.911 [1 per cell]
O 0.413 0.877 0.448 [1 per cell]
O 0.472 0.065 0.666 [1 per cell]
O 0.492 0.346 0.273 [1 per cell]
O 0.524 0.207 0.888 [1 per cell]
O 0.525 0.099 0.288 [1 per cell]
O 0.545 0.354 0.738 [1 per cell]
O 0.650 0.643 0.777 [1 per cell]
O 0.669 0.147 0.515 [1 per cell]
O 0.676 0.694 0.252 [1 per cell]
O 0.723 0.236 0.089 [1 per cell]
O 0.774 0.941 0.593 [1 per cell]
O 0.807 0.592 0.586 [1 per cell]
O 0.814 0.962 0.110 [1 per cell]
O 0.836 0.023 0.346 [1 per cell]
O 0.864 0.096 0.907 [1 per cell]
O 0.876 0.322 0.411 [1 per cell]
O 0.913 0.377 0.948 [1 per cell]
O 0.970 0.565 0.165 [1 per cell]
O 0.992 0.846 0.773 [1 per cell]

Summary:
mass density	2.482	g cm⁻³
crystal system	triclinic
E_form	-2.789	eV per atom
spin magnetization	16.000	Bohr magnetons per cell
energy with MP2020 corrections	-428.78	eV for the cell shown
polymorph energy (0 for the lowest one)	0.25	eV per formula unit